{"formula": "LiMnF3", "functional": "GGA+U", "state": "relaxed", "lattice": [[2.6850, 1.5502, 4.7380], [-2.6850, 1.5502, 4.7380], [0.0000, -3.1004, 4.7380]], "species": ["Li", "Li", "Mn", "Mn", "F", "F", "F", "F", "F", "F"], "frac_coords": [[0.1431, 0.1431, 0.1431], [0.8569, 0.8569, 0.8569], [0.3543, 0.3543, 0.3543], [0.6457, 0.6457, 0.6457], [0.0495, 0.7583, 0.4426], [0.2417, 0.5574, 0.9505], [0.4426, 0.0495, 0.7583], [0.5574, 0.9505, 0.2417], [0.7583, 0.4426, 0.0495], [0.9505, 0.2417, 0.5574]], "space_group": "R-3 (148)"}



{"formula": "Li4MnF7", "functional": "GGA+U", "state": "relaxed", "lattice": [[5.7013, 0.0000, 0.0000], [1.6569, 6.8440, 0.0000], [2.6204, 2.9017, 6.3928]], "species": ["Li", "Li", "Li", "Li", "Li", "Li", "Li", "Li", "Mn", "Mn", "F", "F", "F", "F", "F", "F", "F", "F", "F", "F", "F", "F", "F", "F"], "frac_coords": [[0.0165, 0.2894, 0.1483], [0.0338, 0.2757, 0.6243], [0.3321, 0.4554, 0.6926], [0.3460, 0.4689, 0.1867], [0.6540, 0.5311, 0.8133], [0.6679, 0.5446, 0.3074], [0.9662, 0.7243, 0.3757], [0.9835, 0.7106, 0.8517], [0.5000, 0.0000, 0.0000], [0.5000, 0.0000, 0.5000], [0.0077, 0.5670, 0.6541], [0.1601, 0.9748, 0.6528], [0.2082, 0.1620, 0.9291], [0.2750, 0.5223, 0.9340], [0.3173, 0.7582, 0.1928], [0.4004, 0.1158, 0.2456], [0.4227, 0.3242, 0.4820], [0.5773, 0.6758, 0.5180], [0.5996, 0.8842, 0.7544], [0.6827, 0.2418, 0.8072], [0.7250, 0.4777, 0.0660], [0.7918, 0.8380, 0.0709], [0.8399, 0.0252, 0.3472], [0.9923, 0.4330, 0.3459]], "space_group": "P-1 (2)"}



{"formula": "Li3MnF5", "functional": "GGA+U", "state": "relaxed", "lattice": [[6.6145, 0.0000, 0.0000], [0.0000, 7.9797, 0.0000], [0.0000, 0.0000, 8.2588]], "species": ["Li", "Li", "Li", "Li", "Li", "Li", "Li", "Li", "Li", "Li", "Li", "Li", "Mn", "Mn", "Mn", "Mn", "F", "F", "F", "F", "F", "F", "F", "F", "F", "F", "F", "F", "F", "F", "F", "F", "F", "F", "F", "F"], "frac_coords": [[0.0147, 0.0784, 0.2299], [0.0147, 0.4216, 0.2299], [0.2104, 0.7500, 0.5313], [0.2896, 0.2500, 0.0313], [0.4853, 0.5784, 0.7299], [0.4853, 0.9216, 0.7299], [0.5147, 0.0784, 0.2701], [0.5147, 0.4216, 0.2701], [0.7104, 0.7500, 0.9687], [0.7896, 0.2500, 0.4687], [0.9853, 0.5784, 0.7701], [0.9853, 0.9216, 0.7701], [0.2292, 0.2500, 0.6029], [0.2708, 0.7500, 0.1029], [0.7292, 0.2500, 0.8971], [0.7708, 0.7500, 0.3971], [0.0084, 0.7500, 0.9484], [0.0701, 0.2500, 0.3811], [0.0885, 0.7500, 0.3178], [0.2250, 0.5148, 0.6521], [0.2250, 0.9852, 0.6521], [0.2750, 0.0148, 0.1521], [0.2750, 0.4852, 0.1521], [0.4115, 0.2500, 0.8178], [0.4299, 0.7500, 0.8811], [0.4916, 0.2500, 0.4484], [0.5084, 0.7500, 0.5516], [0.5701, 0.2500, 0.1189], [0.5885, 0.7500, 0.1822], [0.7250, 0.5148, 0.8479], [0.7250, 0.9852, 0.8479], [0.7750, 0.0148, 0.3479], [0.7750, 0.4852, 0.3479], [0.9115, 0.2500, 0.6822], [0.9299, 0.7500, 0.6189], [0.9916, 0.2500, 0.0516]], "space_group": "Pnma (62)"}



{"formula": "LiMnF3", "functional": "GGA+U", "state": "relaxed", "lattice": [[7.8811, 0.0000, 0.0000], [0.0000, 10.1867, 0.0000], [-2.9551, 0.0000, 6.4923]], "species": ["Li", "Li", "Li", "Li", "Li", "Li", "Li", "Li", "Mn", "Mn", "Mn", "Mn", "Mn", "Mn", "Mn", "Mn", "F", "F", "F", "F", "F", "F", "F", "F", "F", "F", "F", "F", "F", "F", "F", "F", "F", "F", "F", "F", "F", "F", "F", "F"], "frac_coords": [[0.0109, 0.2424, 0.2888], [0.0109, 0.2576, 0.7888], [0.3414, 0.0178, 0.2479], [0.3414, 0.4822, 0.7479], [0.6586, 0.5178, 0.2521], [0.6586, 0.9822, 0.7521], [0.9891, 0.7424, 0.2112], [0.9891, 0.7576, 0.7112], [0.2247, 0.0087, 0.6516], [0.2247, 0.4913, 0.1516], [0.4898, 0.2358, 0.0312], [0.4898, 0.2642, 0.5312], [0.5102, 0.7358, 0.4688], [0.5102, 0.7642, 0.9688], [0.7753, 0.5087, 0.8484], [0.7753, 0.9913, 0.3484], [0.0104, 0.6250, 0.9111], [0.0104, 0.8750, 0.4111], [0.2178, 0.1266, 0.3751], [0.2178, 0.3734, 0.8751], [0.2324, 0.6661, 0.3210], [0.2324, 0.8339, 0.8210], [0.2800, 0.0981, 0.9825], [0.2800, 0.4019, 0.4825], [0.4241, 0.6022, 0.0881], [0.4241, 0.8978, 0.5881], [0.4948, 0.1328, 0.7672], [0.4948, 0.3672, 0.2672], [0.5052, 0.6328, 0.7328], [0.5052, 0.8672, 0.2328], [0.5759, 0.1022, 0.4119], [0.5759, 0.3978, 0.9119], [0.7200, 0.5981, 0.5175], [0.7200, 0.9019, 0.0175], [0.7676, 0.1661, 0.1790], [0.7676, 0.3339, 0.6790], [0.7822, 0.6266, 0.1249], [0.7822, 0.8734, 0.6249], [0.9896, 0.1250, 0.5889], [0.9896, 0.3750, 0.0889]], "space_group": "P2_1/c (14)"}



{"formula": "Li3MnF6", "functional": "GGA+U", "state": "relaxed", "lattice": [[0.0000, 3.8814, 3.8814], [3.8814, 0.0000, 3.8814], [3.8814, 3.8814, 0.0000]], "species": ["Li", "Li", "Li", "Mn", "F", "F", "F", "F", "F", "F"], "frac_coords": [[0.0000, 0.0000, 0.0000], [0.2500, 0.2500, 0.2500], [0.7500, 0.7500, 0.7500], [0.5000, 0.5000, 0.5000], [0.2518, 0.2518, 0.7482], [0.2518, 0.7482, 0.2518], [0.2518, 0.7482, 0.7482], [0.7482, 0.2518, 0.2518], [0.7482, 0.2518, 0.7482], [0.7482, 0.7482, 0.2518]], "space_group": "Fm-3m (225)"}



{"formula": "Li3MnF5", "functional": "GGA+U", "state": "relaxed", "lattice": [[5.8624, 0.0000, 0.0000], [0.0000, 6.0327, 0.0000], [0.0000, 0.0000, 10.8402]], "species": ["Li", "Li", "Li", "Li", "Li", "Li", "Li", "Li", "Li", "Li", "Li", "Li", "Mn", "Mn", "Mn", "Mn", "F", "F", "F", "F", "F", "F", "F", "F", "F", "F", "F", "F", "F", "F", "F", "F", "F", "F", "F", "F"], "frac_coords": [[0.0104, 0.0416, 0.2301], [0.0619, 0.1304, 0.7323], [0.2419, 0.1704, 0.4941], [0.2581, 0.8296, 0.9941], [0.4381, 0.8696, 0.2323], [0.4896, 0.9584, 0.7301], [0.5104, 0.4584, 0.7699], [0.5619, 0.3696, 0.2677], [0.7419, 0.3296, 0.5059], [0.7581, 0.6704, 0.0059], [0.9381, 0.6304, 0.7677], [0.9896, 0.5416, 0.2699], [0.1963, 0.3482, 0.0386], [0.3037, 0.6518, 0.5386], [0.6963, 0.1518, 0.9614], [0.8037, 0.8482, 0.4614], [0.0072, 0.0222, 0.0452], [0.0585, 0.5982, 0.9303], [0.1662, 0.8928, 0.3800], [0.1952, 0.8036, 0.7047], [0.2269, 0.6444, 0.1659], [0.2731, 0.3556, 0.6659], [0.3048, 0.1964, 0.2047], [0.3338, 0.1072, 0.8800], [0.4415, 0.4018, 0.4303], [0.4928, 0.9778, 0.5452], [0.5072, 0.4778, 0.9548], [0.5585, 0.9018, 0.0697], [0.6662, 0.6072, 0.6200], [0.6952, 0.6964, 0.2953], [0.7269, 0.8556, 0.8341], [0.7731, 0.1444, 0.3341], [0.8048, 0.3036, 0.7953], [0.8338, 0.3928, 0.1200], [0.9415, 0.0982, 0.5697], [0.9928, 0.5222, 0.4548]], "space_group": "P2_12_12_1 (19)"}



{"formula": "LiMn2F7", "functional": "GGA+U", "state": "relaxed", "lattice": [[5.6990, 0.0000, 0.0000], [0.2978, 6.4848, 0.0000], [1.7062, 2.8045, 8.0598]], "species": ["Li", "Li", "Mn", "Mn", "Mn", "Mn", "F", "F", "F", "F", "F", "F", "F", "F", "F", "F", "F", "F", "F", "F"], "frac_coords": [[0.0894, 0.4105, 0.2730], [0.9106, 0.5895, 0.7270], [0.2232, 0.2111, 0.6956], [0.2904, 0.0171, 0.1676], [0.7096, 0.9829, 0.8324], [0.7768, 0.7889, 0.3044], [0.0653, 0.9317, 0.7420], [0.1714, 0.7390, 0.1933], [0.1739, 0.3055, 0.4826], [0.2455, 0.4897, 0.7001], [0.3067, 0.0920, 0.9229], [0.3519, 0.2995, 0.1419], [0.4278, 0.9038, 0.3586], [0.5722, 0.0962, 0.6414], [0.6481, 0.7005, 0.8581], [0.6933, 0.9080, 0.0771], [0.7545, 0.5103, 0.2999], [0.8261, 0.6945, 0.5174], [0.8286, 0.2610, 0.8067], [0.9347, 0.0683, 0.2580]], "space_group": "P-1 (2)"}



{"formula": "LiMn2F5", "functional": "GGA+U", "state": "relaxed", "lattice": [[5.5141, -2.6464, 0.0000], [5.5141, 2.6464, 0.0000], [-2.8354, 0.0000, 7.0340]], "species": ["Li", "Li", "Mn", "Mn", "Mn", "Mn", "F", "F", "F", "F", "F", "F", "F", "F", "F", "F"], "frac_coords": [[0.0000, 0.0000, 0.0000], [0.0000, 0.0000, 0.5000], [0.3613, 0.3745, 0.7759], [0.3745, 0.3613, 0.2759], [0.6255, 0.6387, 0.7241], [0.6387, 0.6255, 0.2241], [0.0302, 0.3309, 0.6473], [0.2074, 0.7926, 0.7500], [0.2490, 0.5846, 0.0534], [0.3309, 0.0302, 0.1473], [0.4154, 0.7510, 0.4466], [0.5846, 0.2490, 0.5534], [0.6691, 0.9698, 0.8527], [0.7510, 0.4154, 0.9466], [0.7926, 0.2074, 0.2500], [0.9698, 0.6691, 0.3527]], "space_group": "C2/c (15)"}



{"formula": "LiMnF3", "functional": "GGA+U", "state": "relaxed", "lattice": [[6.2409, 0.0000, 0.0000], [0.0000, 6.2409, 0.0000], [0.0000, 0.0000, 6.2409]], "species": ["Li", "Li", "Li", "Li", "Mn", "Mn", "Mn", "Mn", "F", "F", "F", "F", "F", "F", "F", "F", "F", "F", "F", "F"], "frac_coords": [[0.1297, 0.1297, 0.1297], [0.3703, 0.8703, 0.6297], [0.6297, 0.3703, 0.8703], [0.8703, 0.6297, 0.3703], [0.1628, 0.3372, 0.6628], [0.3372, 0.6628, 0.1628], [0.6628, 0.1628, 0.3372], [0.8372, 0.8372, 0.8372], [0.0096, 0.7655, 0.1261], [0.1261, 0.0096, 0.7655], [0.2345, 0.6261, 0.4904], [0.2655, 0.3739, 0.9904], [0.3739, 0.9904, 0.2655], [0.4904, 0.2345, 0.6261], [0.5096, 0.7345, 0.8739], [0.6261, 0.4904, 0.2345], [0.7345, 0.8739, 0.5096], [0.7655, 0.1261, 0.0096], [0.8739, 0.5096, 0.7345], [0.9904, 0.2655, 0.3739]], "space_group": "P2_13 (198)"}



{"formula": "LiMnF3", "functional": "GGA+U", "state": "relaxed", "lattice": [[7.2425, 0.0000, 0.0000], [0.0000, 7.1653, 0.0000], [-1.5975, 0.0000, 15.4819]], "species": ["Li", "Li", "Li", "Li", "Li", "Li", "Li", "Li", "Li", "Li", "Li", "Li", "Mn", "Mn", "Mn", "Mn", "Mn", "Mn", "Mn", "Mn", "Mn", "Mn", "Mn", "Mn", "F", "F", "F", "F", "F", "F", "F", "F", "F", "F", "F", "F", "F", "F", "F", "F", "F", "F", "F", "F", "F", "F", "F", "F", "F", "F", "F", "F", "F", "F", "F", "F", "F", "F", "F", "F"], "frac_coords": [[0.0498, 0.1266, 0.2049], [0.0498, 0.3734, 0.7049], [0.2546, 0.1143, 0.5839], [0.2546, 0.3857, 0.0839], [0.2594, 0.6351, 0.5862], [0.2594, 0.8649, 0.0862], [0.7406, 0.1351, 0.9138], [0.7406, 0.3649, 0.4138], [0.7454, 0.6143, 0.9161], [0.7454, 0.8857, 0.4161], [0.9502, 0.6266, 0.2951], [0.9502, 0.8734, 0.7951], [0.2449, 0.1238, 0.8857], [0.2449, 0.3762, 0.3857], [0.2517, 0.6317, 0.8932], [0.2517, 0.8683, 0.3932], [0.4590, 0.6258, 0.2308], [0.4590, 0.8742, 0.7308], [0.5410, 0.1258, 0.2692], [0.5410, 0.3742, 0.7692], [0.7483, 0.1317, 0.6068], [0.7483, 0.3683, 0.1068], [0.7551, 0.6238, 0.6143], [0.7551, 0.8762, 0.1143], [0.0321, 0.1666, 0.6284], [0.0321, 0.3334, 0.1284], [0.0394, 0.5844, 0.6326], [0.0394, 0.9156, 0.1326], [0.2073, 0.6246, 0.2891], [0.2073, 0.8754, 0.7891], [0.2498, 0.1239, 0.2934], [0.2498, 0.3761, 0.7934], [0.2674, 0.1304, 0.4637], [0.2674, 0.3696, 0.9637], [0.2874, 0.6126, 0.4678], [0.2874, 0.8874, 0.9678], [0.3160, 0.6241, 0.1082], [0.3160, 0.8759, 0.6082], [0.4882, 0.1751, 0.6596], [0.4882, 0.3249, 0.1596], [0.4889, 0.5817, 0.6659], [0.4889, 0.9183, 0.1659], [0.5111, 0.0817, 0.8341], [0.5111, 0.4183, 0.3341], [0.5118, 0.6751, 0.8404], [0.5118, 0.8249, 0.3404], [0.6840, 0.1241, 0.3918], [0.6840, 0.3759, 0.8918], [0.7126, 0.1126, 0.0322], [0.7126, 0.3874, 0.5322], [0.7326, 0.6304, 0.0363], [0.7326, 0.8696, 0.5363], [0.7502, 0.6239, 0.2066], [0.7502, 0.8761, 0.7066], [0.7927, 0.1246, 0.2109], [0.7927, 0.3754, 0.7109], [0.9606, 0.0844, 0.8674], [0.9606, 0.4156, 0.3674], [0.9679, 0.6666, 0.8716], [0.9679, 0.8334, 0.3716]], "space_group": "P2_1/c (14)"}



{"formula": "Li5MnF8", "functional": "GGA+U", "state": "relaxed", "lattice": [[2.8562, -4.4308, 0.0000], [2.8562, 4.4308, 0.0000], [0.0000, 0.0000, 5.8213]], "species": ["Li", "Li", "Li", "Li", "Li", "Mn", "F", "F", "F", "F", "F", "F", "F", "F"], "frac_coords": [[0.0000, 0.0000, 0.0000], [0.0000, 0.5000, 0.2355], [0.0000, 0.5000, 0.7645], [0.5000, 0.0000, 0.2355], [0.5000, 0.0000, 0.7645], [0.0000, 0.0000, 0.5000], [0.2265, 0.2265, 0.2638], [0.2265, 0.2265, 0.7362], [0.2270, 0.7730, 0.0000], [0.2367, 0.7633, 0.5000], [0.7633, 0.2367, 0.5000], [0.7730, 0.2270, 0.0000], [0.7735, 0.7735, 0.2638], [0.7735, 0.7735, 0.7362]], "space_group": "Cmmm (65)"}



Short version: DFT formation energy = -3005; -3027; -3052; -2969; -2775; -2995; -2775; -2970; -3013; -2980; -3028 meV per atom, in the order given.